(1)
# Ba2YTaO6, optimized geometry, DFT PBE
# Total energy, eV per atom: -8.34
# DFT formation energy, meV/atom: -3571
# Total moment, μB/cell: 0.00
data_Ba2YTaO6
_cell_length_a 8.5446
_cell_length_b 8.5446
_cell_length_c 8.5446
_cell_angle_alpha 90.00
_cell_angle_beta 90.00
_cell_angle_gamma 90.00
_space_group_name_H-M_alt 'F m -3 m'
_space_group_IT_number 225
_space_group_name_Hall '-F 4 2 3'
loop_
_atom_site_label
_atom_site_type_symbol
_atom_site_fract_x
_atom_site_fract_y
_atom_site_fract_z
Ba1 Ba 0.2500 0.2500 0.2500
Y1 Y 0.0000 0.0000 0.0000
Ta1 Ta 0.0000 0.0000 0.5000
O1 O 0.0000 0.0000 0.2644

(2)
# Ba3ZrTa4O15, optimized geometry, DFT PBE
# Total energy, eV per atom: -8.95
# DFT formation energy, meV/atom: -3484
# Total moment, μB/cell: 0.00
data_Ba3ZrTa4O15
_cell_length_a 12.8291
_cell_length_b 12.8291
_cell_length_c 4.0611
_cell_angle_alpha 90.00
_cell_angle_beta 90.00
_cell_angle_gamma 90.00
_space_group_name_H-M_alt 'P 4 b m'
_space_group_IT_number 100
loop_
_space_group_symop_operation_xyz
'x,y,z'
'-y,x,z'
'-x,-y,z'
'y,-x,z'
'-x+1/2,y+1/2,z'
'y+1/2,x+1/2,z'
'x+1/2,-y+1/2,z'
'-y+1/2,-x+1/2,z'
loop_
_atom_site_label
_atom_site_type_symbol
_atom_site_fract_x
_atom_site_fract_y
_atom_site_fract_z
Ba1 Ba 0.0000 0.0000 0.0000
Ba2 Ba 0.1692 0.3308 0.9990
Zr1 Zr 0.0000 0.5000 0.4812
Ta1 Ta 0.0749 0.7871 0.5114
O1 O 0.0000 0.5000 0.9806
O2 O 0.0106 0.3351 0.4815
O3 O 0.0665 0.1378 0.4883
O4 O 0.0803 0.7952 0.9870
O5 O 0.2162 0.7162 0.4877

(3)
# BaTb2O4, optimized geometry, DFT PBE
# Total energy, eV per atom: -7.70
# DFT formation energy, meV/atom: -3664
data_BaTb2O4
_cell_length_a 10.5432
_cell_length_b 3.5036
_cell_length_c 12.2672
_cell_angle_alpha 90.00
_cell_angle_beta 90.00
_cell_angle_gamma 90.00
_space_group_name_H-M_alt 'P n m a'
_space_group_IT_number 62
loop_
_space_group_symop_operation_xyz
'x,y,z'
'-x,-y,-z'
'-x+1/2,-y,z+1/2'
'x+1/2,y,-z+1/2'
'x+1/2,-y+1/2,-z+1/2'
'-x+1/2,y+1/2,z+1/2'
'-x,y+1/2,-z'
'x,-y+1/2,z'
loop_
_atom_site_label
_atom_site_type_symbol
_atom_site_fract_x
_atom_site_fract_y
_atom_site_fract_z
Ba1 Ba 0.2469 0.2500 0.1486
Tb1 Tb 0.0742 0.2500 0.3889
Tb2 Tb 0.0776 0.2500 0.8905
O1 O 0.0188 0.7500 0.7828
O2 O 0.0705 0.2500 0.5743
O3 O 0.1159 0.7500 0.0185
O4 O 0.2095 0.7500 0.3399

(4)
# BaTe2O6, optimized geometry, DFT PBE
# Total energy, eV per atom: -5.75
# DFT formation energy, meV/atom: -1998
data_BaTe2O6
_cell_length_a 5.6629
_cell_length_b 13.1323
_cell_length_c 7.4617
_cell_angle_alpha 90.00
_cell_angle_beta 90.00
_cell_angle_gamma 90.00
_space_group_name_H-M_alt 'C m c m'
_space_group_IT_number 63
_space_group_name_Hall '-C 2c 2'
loop_
_atom_site_label
_atom_site_type_symbol
_atom_site_fract_x
_atom_site_fract_y
_atom_site_fract_z
Ba1 Ba 0.0000 0.2221 0.2500
Te1 Te 0.0000 0.0848 0.7500
Te2 Te 0.0000 0.5000 0.0000
O1 O 0.0000 0.2259 0.7500
O2 O 0.0000 0.4516 0.7500
O3 O 0.2366 0.3949 0.0448

(5)
# Ba2TeO, optimized geometry, DFT PBE
# Total energy, eV per atom: -5.14
# DFT formation energy, meV/atom: -2333
data_Ba2TeO
_cell_length_a 5.1237
_cell_length_b 5.1237
_cell_length_c 10.1629
_cell_angle_alpha 90.00
_cell_angle_beta 90.00
_cell_angle_gamma 90.00
_space_group_name_H-M_alt 'P 4/n m m'
_space_group_IT_number 129
loop_
_space_group_symop_operation_xyz
'x,y,z'
'-x,-y,-z'
'-y+1/2,x,z'
'y+1/2,-x,-z'
'-x+1/2,-y+1/2,z'
'x+1/2,y+1/2,-z'
'y,-x+1/2,z'
'-y,x+1/2,-z'
'x+1/2,-y,-z'
'-x+1/2,y,z'
'-y,-x,-z'
'y,x,z'
'-x,y+1/2,-z'
'x,-y+1/2,z'
'y+1/2,x+1/2,-z'
'-y+1/2,-x+1/2,z'
loop_
_atom_site_label
_atom_site_type_symbol
_atom_site_fract_x
_atom_site_fract_y
_atom_site_fract_z
Ba1 Ba 0.2500 0.2500 0.1682
Ba2 Ba 0.2500 0.7500 0.5000
Te1 Te 0.2500 0.2500 0.8005
O1 O 0.2500 0.2500 0.4122

(6)
# BaTeO4, optimized geometry, DFT PBE
# ΔE to the lowest computed polymorph, meV per atom: 0
# Total energy, eV per atom: -5.93
# DFT formation energy, meV/atom: -2250
data_BaTeO4
_cell_length_a 6.0106
_cell_length_b 13.8373
_cell_length_c 5.1483
_cell_angle_alpha 90.00
_cell_angle_beta 90.00
_cell_angle_gamma 90.00
_space_group_name_H-M_alt 'P b c n'
_space_group_IT_number 60
loop_
_space_group_symop_operation_xyz
'x,y,z'
'-x,-y,-z'
'-x+1/2,-y+1/2,z+1/2'
'x+1/2,y+1/2,-z+1/2'
'x+1/2,-y+1/2,-z'
'-x+1/2,y+1/2,z'
'-x,y,-z+1/2'
'x,-y,z+1/2'
loop_
_atom_site_label
_atom_site_type_symbol
_atom_site_fract_x
_atom_site_fract_y
_atom_site_fract_z
Ba1 Ba 0.0000 0.1646 0.2500
Te1 Te 0.0000 0.4332 0.2500
O1 O 0.1762 0.4596 0.5719
O2 O 0.2091 0.3398 0.1479

(7)
# BaTeO4, optimized geometry, DFT PBE
# ΔE to the lowest computed polymorph, meV per atom: 103
# Total energy, eV per atom: -5.83
# DFT formation energy, meV/atom: -2147
# Total moment, μB/cell: 0.00
data_BaTeO4
_cell_length_a 6.2547
_cell_length_b 7.8615
_cell_length_c 9.1370
_cell_angle_alpha 90.00
_cell_angle_beta 91.95
_cell_angle_gamma 90.00
_space_group_name_H-M_alt 'P 1 21/c 1'
_space_group_IT_number 14
loop_
_space_group_symop_operation_xyz
'x,y,z'
'-x,-y,-z'
'-x,y+1/2,-z+1/2'
'x,-y+1/2,z+1/2'
loop_
_atom_site_label
_atom_site_type_symbol
_atom_site_fract_x
_atom_site_fract_y
_atom_site_fract_z
Ba1 Ba 0.1749 0.1711 0.3029
Te1 Te 0.2892 0.6905 0.4622
O1 O 0.0738 0.6492 0.9355
O2 O 0.2107 0.5183 0.3341
O3 O 0.2675 0.6259 0.6550
O4 O 0.4376 0.2262 0.5619

(8)
# BaTe4O9, optimized geometry, DFT PBE
# Total energy, eV per atom: -5.60
# DFT formation energy, meV/atom: -1823
# Total moment, μB/cell: 0.01
data_BaTe4O9
_cell_length_a 19.9803
_cell_length_b 4.6002
_cell_length_c 23.5486
_cell_angle_alpha 90.00
_cell_angle_beta 112.91
_cell_angle_gamma 90.00
_space_group_name_H-M_alt 'C 1 2/c 1'
_space_group_IT_number 15
loop_
_space_group_symop_operation_xyz
'x,y,z'
'-x,-y,-z'
'-x,y,-z+1/2'
'x,-y,z+1/2'
'x+1/2,y+1/2,z'
'-x+1/2,-y+1/2,-z'
'-x+1/2,y+1/2,-z+1/2'
'x+1/2,-y+1/2,z+1/2'
loop_
_atom_site_label
_atom_site_type_symbol
_atom_site_fract_x
_atom_site_fract_y
_atom_site_fract_z
Ba1 Ba 0.2086 0.2100 0.1591
Te1 Te 0.0395 0.3267 0.6527
Te2 Te 0.0838 0.3509 0.5086
Te3 Te 0.1123 0.1677 0.2808
Te4 Te 0.1975 0.0159 0.4496
O1 O 0.0060 0.4983 0.0566
O2 O 0.0576 0.2766 0.1819
O3 O 0.0882 0.2217 0.7463
O4 O 0.1123 0.2567 0.4345
O5 O 0.1262 0.2713 0.6415
O6 O 0.1367 0.3074 0.0315
O7 O 0.1663 0.0740 0.8607
O8 O 0.2022 0.2257 0.2754
O9 O 0.2394 0.1737 0.5523

(9)
# BaTi5O11, optimized geometry, DFT PBE
# Total energy, eV per atom: -8.71
# DFT formation energy, meV/atom: -3513
# Total moment, μB/cell: 0.00
data_BaTi5O11
_cell_length_a 7.6248
_cell_length_b 14.2445
_cell_length_c 10.0427
_cell_angle_alpha 90.00
_cell_angle_beta 130.35
_cell_angle_gamma 90.00
_space_group_name_H-M_alt 'P 1 21/c 1'
_space_group_IT_number 14
loop_
_space_group_symop_operation_xyz
'x,y,z'
'-x,-y,-z'
'-x,y+1/2,-z+1/2'
'x,-y+1/2,z+1/2'
loop_
_atom_site_label
_atom_site_type_symbol
_atom_site_fract_x
_atom_site_fract_y
_atom_site_fract_z
Ba1 Ba 0.0352 0.0822 0.2361
Ti1 Ti 0.0238 0.6603 0.6547
Ti2 Ti 0.2390 0.1764 0.6903
Ti3 Ti 0.2959 0.6605 0.0510
Ti4 Ti 0.4780 0.5099 0.7305
Ti5 Ti 0.4904 0.1751 0.0702
O1 O 0.0108 0.7482 0.0051
O2 O 0.0199 0.6040 0.8397
O3 O 0.2127 0.5718 0.6712
O4 O 0.2343 0.2396 0.8712
O5 O 0.2464 0.0871 0.0249
O6 O 0.2685 0.7408 0.8754
O7 O 0.2805 0.0834 0.5847
O8 O 0.2993 0.5912 0.2281
O9 O 0.4788 0.2409 0.2433
O10 O 0.4939 0.0738 0.3930
O11 O 0.4989 0.0979 0.9128

(10)
# Ba4Ti4O9, optimized geometry, DFT PBE
# Total energy, eV per atom: -7.62
# DFT formation energy, meV/atom: -3055
# Total moment, μB/cell: 8.24
data_Ba4Ti4O9
_cell_length_a 11.5152
_cell_length_b 8.0192
_cell_length_c 17.3026
_cell_angle_alpha 90.00
_cell_angle_beta 91.62
_cell_angle_gamma 90.00
_space_group_name_H-M_alt 'C 1 2/m 1'
_space_group_IT_number 12
loop_
_space_group_symop_operation_xyz
'x,y,z'
'-x,-y,-z'
'-x,y,-z'
'x,-y,z'
'x+1/2,y+1/2,z'
'-x+1/2,-y+1/2,-z'
'-x+1/2,y+1/2,-z'
'x+1/2,-y+1/2,z'
loop_
_atom_site_label
_atom_site_type_symbol
_atom_site_fract_x
_atom_site_fract_y
_atom_site_fract_z
Ba1 Ba 0.1265 0.2469 0.2509
Ba2 Ba 0.1260 0.2484 0.9176
Ba3 Ba 0.1264 0.2525 0.5841
Ti1 Ti 0.1163 0.0000 0.4219
Ti2 Ti 0.1160 0.5000 0.0880
Ti3 Ti 0.1155 0.5000 0.7547
Ti4 Ti 0.1247 0.5000 0.4175
Ti5 Ti 0.1265 0.0000 0.0831
Ti6 Ti 0.1262 0.0000 0.7501
O1 O 0.0000 0.0000 0.0000
O2 O 0.0000 0.0000 0.5000
O3 O 0.0000 0.5000 0.0000
O4 O 0.0011 0.5000 0.1675
O5 O 0.0021 0.0000 0.3311
O6 O 0.0024 0.5000 0.6642
O7 O 0.1276 0.2480 0.0817
O8 O 0.1277 0.2496 0.7477
O9 O 0.1277 0.2517 0.4149
O10 O 0.2462 0.0000 0.8341
O11 O 0.2466 0.0000 0.1680
O12 O 0.2468 0.5000 0.5014

(11)
# Ba2Ti2O5, optimized geometry, DFT PBE
# Total energy, eV per atom: -7.75
# DFT formation energy, meV/atom: -3206
# Total moment, μB/cell: 7.94
data_Ba2Ti2O5
_cell_length_a 5.8314
_cell_length_b 16.0479
_cell_length_c 5.8320
_cell_angle_alpha 90.00
_cell_angle_beta 90.00
_cell_angle_gamma 90.00
_space_group_name_H-M_alt 'I m m a'
_space_group_IT_number 74
_space_group_name_Hall '-I 2b 2'
loop_
_atom_site_label
_atom_site_type_symbol
_atom_site_fract_x
_atom_site_fract_y
_atom_site_fract_z
Ba1 Ba 0.0000 0.1183 0.0023
Ti1 Ti 0.0000 0.0000 0.5000
Ti2 Ti 0.0000 0.2500 0.5379
O1 O 0.0000 0.1305 0.4803
O2 O 0.2500 0.0031 0.7500
O3 O 0.2500 0.2500 0.7500